Record 1
Entry from the Materials Project database: crystalline LiLa3Ti2O9 at its relaxed geometry (PBE-GGA).

Calculated values
E (MP2020): -8.785 eV/atom
ΔE_f: -3.6494 eV/atom

Lattice parameters (Å, degrees): 5.649 7.903 18.510 64.82 90.00 90.00
Atoms (fractional coordinates):
O 0.474 0.626 0.636
O 0.026 0.626 0.136
Ti 0.508 0.827 0.669
O 0.782 0.722 0.731
Ti 0.008 0.173 0.831
O 0.015 0.275 0.472
La 0.042 0.908 0.332
O 0.720 0.395 0.566
O 0.718 0.722 0.231
Ti 0.500 0.500 0.000
O 0.696 0.636 0.907
O 0.302 0.700 0.757
O 0.802 0.300 0.743
Li 0.499 0.333 0.666
O 0.985 0.725 0.528
Ti 0.492 0.173 0.331
O 0.698 0.300 0.243
O 0.717 0.976 0.568
Li 0.501 0.667 0.334
O 0.485 0.275 0.972
Ti 0.500 0.000 0.000
La 0.032 0.258 0.003
O 0.196 0.364 0.593
O 0.783 0.976 0.068
Ti 0.992 0.827 0.169
La 0.458 0.908 0.832
O 0.515 0.725 0.028
O 0.218 0.278 0.269
Ti 0.000 0.500 0.500
O 0.521 0.047 0.691
La 0.958 0.092 0.668
La 0.450 0.573 0.172
O 0.804 0.636 0.407
O 0.021 0.953 0.809
Li 0.001 0.333 0.166
O 0.304 0.364 0.093
O 0.280 0.605 0.434
O 0.283 0.024 0.432
O 0.705 0.047 0.907
La 0.468 0.258 0.503
La 0.550 0.427 0.828
O 0.205 0.953 0.593
O 0.979 0.047 0.191
O 0.479 0.953 0.309
O 0.220 0.605 0.934
La 0.542 0.092 0.168
La 0.050 0.573 0.672
O 0.795 0.047 0.407
O 0.295 0.953 0.093
Li 0.999 0.667 0.834
O 0.282 0.278 0.769
O 0.974 0.374 0.864
O 0.526 0.374 0.364
La 0.532 0.742 0.497
Ti 0.000 0.000 0.500
La 0.950 0.427 0.328
O 0.217 0.024 0.932
La 0.968 0.742 0.997
O 0.780 0.395 0.066
O 0.198 0.700 0.257

Record 2
Entry from the Materials Project database: crystalline LiLa3Ti4O12 at its relaxed geometry (PBE-GGA).

Calculated values
E (MP2020): -8.916 eV/atom
ΔE_f: -3.5327 eV/atom
Distance to the lowest polymorph of the same formula: 3.16 kJ/mol of atoms

Lattice parameters (Å, degrees): 8.798 8.798 8.798 143.19 143.19 53.04
Atoms (fractional coordinates):
O 0.883 0.883 0.510
O 0.750 0.250 0.500
O 0.000 0.500 0.500
Ti 0.877 0.377 0.500
Li 0.500 0.500 0.000
O 0.117 0.627 0.000
Ti 0.377 0.877 0.500
O 0.250 0.750 0.500
O 0.373 0.373 0.490
Ti 0.623 0.123 0.500
O 0.373 0.883 0.000
La 0.000 0.000 0.000
O 0.117 0.117 0.490
O 0.627 0.627 0.510
O 0.627 0.117 0.000
Ti 0.123 0.623 0.500
La 0.748 0.748 0.000
O 0.883 0.373 0.000
O 0.500 0.000 0.500
La 0.252 0.252 0.000

Record 3
Entry from the Materials Project database: crystalline Li2La2Ti3O10 at its relaxed geometry (PBE-GGA).

Calculated values
E (MP2020): -8.590 eV/atom
ΔE_f: -3.4805 eV/atom

Lattice parameters (Å, degrees): 13.657 13.657 13.657 163.68 163.68 23.16
Atoms (fractional coordinates):
La 0.581 0.581 0.000
O 0.643 0.143 0.500
O 0.857 0.357 0.500
O 0.073 0.073 0.000
O 0.357 0.857 0.500
Li 0.750 0.250 0.500
O 0.143 0.643 0.500
Ti 0.158 0.158 0.000
O 0.775 0.775 0.000
Ti 0.000 0.000 0.000
O 0.225 0.225 0.000
Li 0.250 0.750 0.500
Ti 0.842 0.842 0.000
La 0.419 0.419 0.000
O 0.927 0.927 0.000
O 0.500 0.000 0.500
O 0.000 0.500 0.500

Record 4
Entry from the Materials Project database: crystalline LiLaTi2O6 at its relaxed geometry (PBE-GGA).

Calculated values
E (MP2020): -8.615 eV/atom
ΔE_f: -3.3828 eV/atom
Distance to the lowest polymorph of the same formula: 5.49 kJ/mol of atoms

Lattice parameters (Å, degrees): 5.501 5.501 5.501 60.00 60.00 60.00
Atoms (fractional coordinates):
O 0.500 0.000 0.500
La 0.500 0.500 0.500
O 0.000 0.500 0.000
Li 0.000 0.000 0.000
O 0.000 0.000 0.500
O 0.500 0.000 0.000
Ti 0.250 0.250 0.250
O 0.000 0.500 0.500
Ti 0.750 0.750 0.750
O 0.500 0.500 0.000

Record 5
Entry from the Materials Project database: crystalline LiLa3Ti4O12 at its relaxed geometry (PBE-GGA).

Calculated values
E (MP2020): -8.949 eV/atom
ΔE_f: -3.5655 eV/atom
Distance to the lowest polymorph of the same formula: 0.00 kJ/mol of atoms

Lattice parameters (Å, degrees): 5.570 5.570 7.832 89.54 89.54 88.89
Atoms (fractional coordinates):
Ti 0.748 0.249 0.259
Ti 0.249 0.748 0.259
O 0.487 0.008 0.241
La 0.254 0.254 0.502
O 0.304 0.699 0.002
O 0.008 0.487 0.241
O 0.493 0.493 0.295
O 0.000 0.000 0.804
O 0.002 0.500 0.757
Li 0.829 0.829 0.576
La 0.750 0.750 0.013
O 0.500 0.002 0.757
O 0.492 0.492 0.705
O 0.997 0.997 0.193
Ti 0.259 0.750 0.748
O 0.188 0.802 0.503
O 0.802 0.188 0.503
O 0.699 0.304 0.002
La 0.253 0.253 0.003
Ti 0.750 0.259 0.748

Record 6
Entry from the Materials Project database: crystalline Li3La5Ti8O24 at its relaxed geometry (PBE-GGA).

Calculated values
E (MP2020): -8.791 eV/atom
ΔE_f: -3.4834 eV/atom

Lattice parameters (Å, degrees): 8.745 8.745 8.766 66.49 66.49 53.14
Atoms (fractional coordinates):
O 0.187 0.187 0.740
O 0.000 0.500 0.500
Li 0.750 0.750 0.000
O 0.813 0.813 0.260
Ti 0.065 0.560 0.244
O 0.635 0.122 0.000
O 0.566 0.067 0.735
La 0.625 0.625 0.500
O 0.365 0.878 0.000
La 0.000 0.000 0.000
O 0.500 0.000 0.500
La 0.125 0.125 0.498
O 0.821 0.309 0.740
La 0.875 0.875 0.502
Li 0.250 0.250 0.000
O 0.691 0.691 0.735
Ti 0.813 0.318 0.244
La 0.375 0.375 0.500
O 0.179 0.691 0.260
Ti 0.187 0.682 0.756
O 0.309 0.309 0.265
O 0.933 0.434 0.265
O 0.878 0.365 0.000
Li 0.500 0.500 0.000
Ti 0.440 0.935 0.756
O 0.067 0.566 0.735
O 0.057 0.057 0.259
Ti 0.682 0.187 0.756
Ti 0.318 0.813 0.244
O 0.434 0.933 0.265
Ti 0.935 0.440 0.756
Ti 0.560 0.065 0.244
O 0.943 0.943 0.741
O 0.309 0.821 0.740
O 0.558 0.558 0.266
O 0.442 0.442 0.734
O 0.249 0.751 0.500
O 0.751 0.249 0.500
O 0.691 0.179 0.260
O 0.122 0.635 0.000

Record 7
Entry from the Materials Project database: crystalline Li17La12Zr8O48 at its relaxed geometry (PBE-GGA).

Calculated values
E (MP2020): -7.683 eV/atom
ΔE_f: -3.0062 eV/atom

Lattice parameters (Å, degrees): 11.352 11.352 11.352 108.37 108.37 111.69
Atoms (fractional coordinates):
O 0.554 0.215 0.451
Zr 0.377 0.129 0.757
Zr 0.874 0.624 0.750
O 0.663 0.995 0.718
Li 0.601 0.019 0.259
La 0.624 0.237 0.111
O 0.005 0.723 0.668
La 0.500 0.000 0.500
O 0.460 0.036 0.130
O 0.342 0.713 0.920
O 0.079 0.710 0.922
O 0.244 0.412 0.217
O 0.195 0.027 0.783
O 0.793 0.422 0.080
O 0.055 0.337 0.332
O 0.964 0.013 0.161
O 0.852 0.802 0.839
La 0.247 0.247 0.000
O 0.556 0.223 0.718
O 0.973 0.756 0.168
O 0.198 0.036 0.050
La 0.000 0.500 0.500
O 0.277 0.945 0.282
La 0.486 0.376 0.612
O 0.764 0.103 0.549
La 0.124 0.013 0.388
O 0.588 0.805 0.832
Zr 0.876 0.126 0.751
O 0.843 0.921 0.630
Li 0.663 0.402 0.912
O 0.692 0.643 0.158
O 0.785 0.236 0.339
O 0.162 0.444 0.667
O 0.670 0.540 0.576
La 0.126 0.514 0.889
Zr 0.372 0.620 0.243
Li 0.156 0.740 0.254
O 0.744 0.524 0.831
Li 0.658 0.399 0.418
O 0.787 0.157 0.078
O 0.987 0.148 0.950
Zr 0.380 0.623 0.752
Li 0.981 0.239 0.582
La 0.987 0.375 0.111
O 0.476 0.307 0.220
Li 0.490 0.751 0.088
O 0.406 0.536 0.576
La 0.753 0.753 0.000
O 0.289 0.948 0.550
O 0.466 0.308 0.951
Zr 0.871 0.628 0.248
La 0.625 0.736 0.612
La 0.763 0.874 0.388
O 0.964 0.094 0.424
O 0.464 0.040 0.870
Li 0.500 0.500 0.000
Li 0.249 0.337 0.739
O 0.170 0.594 0.130
O 0.906 0.330 0.870
Zr 0.376 0.126 0.249
O 0.777 0.495 0.333
Li 0.989 0.906 0.755
Li 0.486 0.902 0.746
O 0.290 0.213 0.370
O 0.960 0.830 0.424
Li 0.094 0.849 0.083
O 0.578 0.658 0.372
O 0.052 0.601 0.341
O 0.485 0.534 0.842
Li 0.766 0.011 0.917
O 0.897 0.446 0.661
O 0.087 0.256 0.780
Li 0.098 0.844 0.584
O 0.399 0.739 0.450
O 0.505 0.838 0.282
Li 0.761 0.342 0.741
O 0.287 0.207 0.628
O 0.357 0.515 0.049
La 0.264 0.876 0.889
Li 0.260 0.514 0.416
Li 0.598 0.510 0.261
Zr 0.874 0.124 0.250
O 0.693 0.913 0.169
O 0.261 0.711 0.659
Li 0.151 0.234 0.245

Record 8
Entry from the Materials Project database: crystalline Li7La3Zr2O12 at its relaxed geometry (PBE-GGA).

Calculated values
E (MP2020): -7.484 eV/atom
ΔE_f: -3.1241 eV/atom

Lattice parameters (Å, degrees): 11.311 11.311 11.311 108.38 108.38 111.68
Atoms (fractional coordinates):
O 0.214 0.762 0.657
O 0.098 0.670 0.126
Li 0.431 0.069 0.000
O 0.238 0.896 0.453
O 0.334 0.994 0.271
Li 0.518 0.100 0.257
Li 0.900 0.157 0.418
Li 0.350 0.593 0.082
Li 0.569 0.569 0.638
La 0.875 0.998 0.623
Zr 0.625 0.375 0.250
Zr 0.125 0.375 0.750
Li 0.819 0.681 0.500
Li 0.511 0.268 0.918
Li 0.843 0.261 0.743
La 0.375 0.252 0.377
O 0.544 0.972 0.874
O 0.813 0.973 0.229
O 0.330 0.456 0.428
O 0.916 0.756 0.229
O 0.244 0.473 0.160
Li 0.018 0.761 0.418
Li 0.232 0.989 0.082
La 0.500 0.000 0.500
O 0.646 0.488 0.953
O 0.528 0.956 0.126
O 0.443 0.786 0.547
Li 0.850 0.768 0.757
O 0.738 0.286 0.343
Zr 0.625 0.375 0.750
O 0.506 0.166 0.729
Li 0.750 0.250 0.500
O 0.146 0.193 0.157
La 0.502 0.625 0.377
Li 0.500 0.500 0.000
O 0.028 0.902 0.572
La 0.748 0.125 0.123
O 0.416 0.187 0.160
Zr 0.625 0.875 0.750
O 0.604 0.262 0.547
La 0.375 0.752 0.877
O 0.920 0.294 0.072
Li 0.319 0.819 0.138
Li 0.250 0.750 0.500
O 0.536 0.693 0.047
Li 0.907 0.150 0.918
O 0.834 0.563 0.340
La 0.000 0.500 0.500
La 0.750 0.750 0.000
La 0.250 0.250 0.000
Li 0.011 0.093 0.243
O 0.420 0.348 0.626
La 0.002 0.625 0.877
La 0.875 0.498 0.123
O 0.152 0.080 0.374
O 0.723 0.063 0.729
O 0.012 0.854 0.047
O 0.044 0.170 0.572
Li 0.732 0.650 0.243
Li 0.181 0.319 0.500
O 0.036 0.988 0.843
O 0.722 0.794 0.374
O 0.104 0.557 0.343
Zr 0.125 0.375 0.250
O 0.313 0.084 0.840
La 0.248 0.125 0.623
Li 0.343 0.600 0.582
O 0.527 0.687 0.771
O 0.714 0.057 0.453
O 0.706 0.778 0.626
O 0.307 0.354 0.843
O 0.652 0.278 0.072
O 0.943 0.396 0.657
O 0.830 0.402 0.874
O 0.006 0.277 0.340
Li 0.000 0.000 0.000
O 0.744 0.584 0.771
O 0.437 0.777 0.271
Li 0.931 0.931 0.362
Zr 0.125 0.875 0.750
O 0.223 0.494 0.660
Li 0.407 0.489 0.757
Li 0.069 0.431 0.000
Li 0.400 0.982 0.743
Li 0.681 0.181 0.862
Zr 0.625 0.875 0.250
O 0.937 0.666 0.660
Zr 0.125 0.875 0.250
O 0.206 0.580 0.928
O 0.027 0.256 0.840
O 0.222 0.848 0.928
O 0.807 0.964 0.953
Li 0.739 0.482 0.582
Li 0.239 0.657 0.257
O 0.512 0.464 0.157
O 0.598 0.472 0.428

Record 9
Entry from the Materials Project database: crystalline LiLa2Os at its relaxed geometry (PBE-GGA).

Calculated values
ΔE_f: -0.0556 eV/atom

Lattice parameters (Å, degrees): 5.142 5.142 5.142 60.00 60.00 60.00
Atoms (fractional coordinates):
La 0.750 0.750 0.750
Li 0.500 0.500 0.500
Os 0.000 0.000 0.000
La 0.250 0.250 0.250

Record 10
Entry from the Materials Project database: crystalline LiLa2Ru at its relaxed geometry (PBE-GGA).

Calculated values
ΔE_f: -0.1225 eV/atom

Lattice parameters (Å, degrees): 5.157 5.157 5.157 60.00 60.00 60.00
Atoms (fractional coordinates):
Li 0.500 0.500 0.500
La 0.750 0.750 0.750
Ru 0.000 0.000 0.000
La 0.250 0.250 0.250

Please write out number 8 again, unchanged.
Entry from the Materials Project database: crystalline Li7La3Zr2O12 at its relaxed geometry (PBE-GGA).

Calculated values
E (MP2020): -7.484 eV/atom
ΔE_f: -3.1241 eV/atom

Lattice parameters (Å, degrees): 11.311 11.311 11.311 108.38 108.38 111.68
Atoms (fractional coordinates):
O 0.214 0.762 0.657
O 0.098 0.670 0.126
Li 0.431 0.069 0.000
O 0.238 0.896 0.453
O 0.334 0.994 0.271
Li 0.518 0.100 0.257
Li 0.900 0.157 0.418
Li 0.350 0.593 0.082
Li 0.569 0.569 0.638
La 0.875 0.998 0.623
Zr 0.625 0.375 0.250
Zr 0.125 0.375 0.750
Li 0.819 0.681 0.500
Li 0.511 0.268 0.918
Li 0.843 0.261 0.743
La 0.375 0.252 0.377
O 0.544 0.972 0.874
O 0.813 0.973 0.229
O 0.330 0.456 0.428
O 0.916 0.756 0.229
O 0.244 0.473 0.160
Li 0.018 0.761 0.418
Li 0.232 0.989 0.082
La 0.500 0.000 0.500
O 0.646 0.488 0.953
O 0.528 0.956 0.126
O 0.443 0.786 0.547
Li 0.850 0.768 0.757
O 0.738 0.286 0.343
Zr 0.625 0.375 0.750
O 0.506 0.166 0.729
Li 0.750 0.250 0.500
O 0.146 0.193 0.157
La 0.502 0.625 0.377
Li 0.500 0.500 0.000
O 0.028 0.902 0.572
La 0.748 0.125 0.123
O 0.416 0.187 0.160
Zr 0.625 0.875 0.750
O 0.604 0.262 0.547
La 0.375 0.752 0.877
O 0.920 0.294 0.072
Li 0.319 0.819 0.138
Li 0.250 0.750 0.500
O 0.536 0.693 0.047
Li 0.907 0.150 0.918
O 0.834 0.563 0.340
La 0.000 0.500 0.500
La 0.750 0.750 0.000
La 0.250 0.250 0.000
Li 0.011 0.093 0.243
O 0.420 0.348 0.626
La 0.002 0.625 0.877
La 0.875 0.498 0.123
O 0.152 0.080 0.374
O 0.723 0.063 0.729
O 0.012 0.854 0.047
O 0.044 0.170 0.572
Li 0.732 0.650 0.243
Li 0.181 0.319 0.500
O 0.036 0.988 0.843
O 0.722 0.794 0.374
O 0.104 0.557 0.343
Zr 0.125 0.375 0.250
O 0.313 0.084 0.840
La 0.248 0.125 0.623
Li 0.343 0.600 0.582
O 0.527 0.687 0.771
O 0.714 0.057 0.453
O 0.706 0.778 0.626
O 0.307 0.354 0.843
O 0.652 0.278 0.072
O 0.943 0.396 0.657
O 0.830 0.402 0.874
O 0.006 0.277 0.340
Li 0.000 0.000 0.000
O 0.744 0.584 0.771
O 0.437 0.777 0.271
Li 0.931 0.931 0.362
Zr 0.125 0.875 0.750
O 0.223 0.494 0.660
Li 0.407 0.489 0.757
Li 0.069 0.431 0.000
Li 0.400 0.982 0.743
Li 0.681 0.181 0.862
Zr 0.625 0.875 0.250
O 0.937 0.666 0.660
Zr 0.125 0.875 0.250
O 0.206 0.580 0.928
O 0.027 0.256 0.840
O 0.222 0.848 0.928
O 0.807 0.964 0.953
Li 0.739 0.482 0.582
Li 0.239 0.657 0.257
O 0.512 0.464 0.157
O 0.598 0.472 0.428